1.
TmCo4Ge2 | GGA-PBE | relaxed

Cell lengths 7.2246, 7.2246, 3.7058 Å; angles 90.00, 90.00, 90.00 degrees
Space group P4_2/mnm (No. 136)
Asymmetric unit:
Tm 0.0000 0.0000 0.0000
Co 0.0821 0.3537 0.5000
Ge 0.2218 0.7782 0.5000

Values from the calculation:
theoretical density	9.44	g/cm3
energy of formation from the pure elements	-2.7	eV/f.u.
total magnetization	0.08	Bohr magnetons per cell

---

2.
Tm3Co4Ge13 | GGA-PBE | relaxed

Cell lengths 8.7520, 8.7520, 8.7520 Å; angles 90.00, 90.00, 90.00 degrees
Space group Pm-3n (No. 223)
Asymmetric unit:
Tm 0.0000 0.2500 0.5000
Co 0.2500 0.2500 0.2500
Ge 0.0000 0.0000 0.0000
Ge 0.0000 0.3057 0.1534

Values from the calculation:
theoretical density	8.36	g/cm3
energy of formation from the pure elements	-8.0	eV/f.u.
total magnetization	0.00	Bohr magnetons per cell

---

3.
Tm2CoGe4 | GGA-PBE | relaxed

Cell lengths 4.0716, 4.0789, 15.8078 Å; angles 90.00, 90.00, 90.00 degrees
Space group Amm2 (No. 38)
Asymmetric unit:
Tm 0.0000 0.0000 0.0000
Tm 0.5000 0.0000 0.2099
Co 0.0000 0.0000 0.7953
Ge 0.0000 0.0000 0.3656
Ge 0.0000 0.0000 0.6515
Ge 0.5000 0.0000 0.5492
Ge 0.5000 0.0000 0.8635

Values from the calculation:
theoretical density	8.70	g/cm3
energy of formation from the pure elements	-4.3	eV/f.u.
total magnetization	0.01	Bohr magnetons per cell

---

4.
Tm5Co4Ge10 | GGA-PBE | relaxed

Cell lengths 12.7019, 12.7019, 4.1534 Å; angles 90.00, 90.00, 90.00 degrees
Space group P4/mbm (No. 127)
Asymmetric unit:
Tm 0.0000 0.0000 0.0000
Tm 0.1135 0.3865 0.5000
Tm 0.1757 0.6757 0.5000
Co 0.0239 0.7541 0.0000
Ge 0.0059 0.8345 0.5000
Ge 0.0683 0.5683 0.0000
Ge 0.1564 0.1973 0.0000

Values from the calculation:
theoretical density	8.95	g/cm3
energy of formation from the pure elements	-12.3	eV/f.u.